[1]
An optimized crystal structure of CsNpCl2O3, computed with PBE.

Results
Total moment = 0.0 μB/f.u.
Formation energy = -2413 meV/atom
Final energy = -188.86 eV for the cell shown
Space-group type = No. 14

abc: 7.585 8.703 11.427
angles: 90.00 90.76 90.00
Fractional positions:
Cs1 0.249 0.613 0.847
Cs2 0.751 0.387 0.153
Cs3 0.749 0.887 0.347
Cs4 0.251 0.113 0.653
Np1 0.256 0.093 0.173
Np2 0.744 0.907 0.827
Np3 0.756 0.407 0.673
Np4 0.244 0.593 0.327
Cl1 0.242 0.409 0.112
Cl2 0.258 0.909 0.388
Cl3 0.178 0.279 0.373
Cl4 0.758 0.591 0.888
Cl5 0.742 0.091 0.612
Cl6 0.822 0.721 0.627
Cl7 0.678 0.221 0.873
Cl8 0.322 0.779 0.127
O1 0.511 0.880 0.792
O2 0.776 0.411 0.511
O3 0.989 0.380 0.708
O4 0.519 0.431 0.672
O5 0.019 0.069 0.172
O6 0.489 0.120 0.208
O7 0.276 0.089 0.011
O8 0.724 0.911 0.989
O9 0.224 0.589 0.489
O10 0.981 0.931 0.828
O11 0.011 0.620 0.292
O12 0.481 0.569 0.328



[2]
An optimized crystal structure of Cs3ClO, computed with PBE.

Results
Formation energy = -1493 meV/atom
Final energy = -65.05 eV for the cell shown
Space-group type = No. 62

abc: 4.518 9.696 16.666
angles: 90.00 90.00 90.00
Fractional positions:
O1 0.750 0.834 0.438
O2 0.250 0.666 0.938
O3 0.250 0.166 0.562
O4 0.750 0.334 0.062
Cl1 0.750 0.077 0.828
Cl2 0.750 0.577 0.672
Cl3 0.250 0.423 0.328
Cl4 0.250 0.923 0.172
Cs1 0.250 0.288 0.708
Cs2 0.750 0.712 0.292
Cs3 0.250 0.672 0.501
Cs4 0.250 0.026 0.402
Cs5 0.250 0.526 0.098
Cs6 0.750 0.828 0.001
Cs7 0.250 0.788 0.792
Cs8 0.750 0.212 0.208
Cs9 0.750 0.474 0.902
Cs10 0.250 0.172 0.999
Cs11 0.750 0.974 0.598
Cs12 0.750 0.328 0.499



[3]
An optimized crystal structure of Cs4Os2Cl10O, computed with PBE.

Results
Total moment = 0.0 μB/f.u.
Formation energy = -1318 meV/atom
Final energy = -284.72 eV for the cell shown
Space-group type = No. 61

abc: 12.002 12.676 14.209
angles: 90.00 90.00 90.00
Fractional positions:
Cs1 0.979 0.216 0.360
Cs2 0.021 0.284 0.860
Cs3 0.521 0.716 0.640
Cs4 0.479 0.284 0.360
Cs5 0.021 0.784 0.640
Cs6 0.288 0.396 0.637
Cs7 0.521 0.216 0.860
Cs8 0.712 0.604 0.363
Cs9 0.788 0.604 0.863
Cs10 0.788 0.104 0.637
Cs11 0.288 0.896 0.863
Cs12 0.479 0.784 0.140
Cs13 0.212 0.896 0.363
Cs14 0.979 0.716 0.140
Cs15 0.212 0.396 0.137
Cs16 0.712 0.104 0.137
Os1 0.414 0.054 0.594
Os2 0.914 0.946 0.906
Os3 0.086 0.554 0.406
Os4 0.414 0.554 0.906
Os5 0.086 0.054 0.094
Os6 0.914 0.446 0.594
Os7 0.586 0.946 0.406
Os8 0.586 0.446 0.094
Cl1 0.019 0.284 0.601
Cl2 0.803 0.374 0.716
Cl3 0.529 0.483 0.783
Cl4 0.971 0.983 0.217
Cl5 0.197 0.126 0.216
Cl6 0.971 0.483 0.283
Cl7 0.471 0.017 0.283
Cl8 0.029 0.017 0.783
Cl9 0.029 0.517 0.717
Cl10 0.981 0.216 0.101
Cl11 0.697 0.374 0.216
Cl12 0.519 0.716 0.899
Cl13 0.702 0.599 0.104
Cl14 0.697 0.874 0.284
Cl15 0.716 0.865 0.512
Cl16 0.216 0.635 0.512
Cl17 0.216 0.135 0.988
Cl18 0.702 0.099 0.396
Cl19 0.019 0.784 0.899
Cl20 0.481 0.284 0.101
Cl21 0.471 0.517 0.217
Cl22 0.298 0.401 0.896
Cl23 0.798 0.099 0.896
Cl24 0.202 0.401 0.396
Cl25 0.803 0.874 0.784
Cl26 0.197 0.626 0.284
Cl27 0.298 0.901 0.604
Cl28 0.303 0.626 0.784
Cl29 0.284 0.635 0.012
Cl30 0.284 0.135 0.488
Cl31 0.529 0.983 0.717
Cl32 0.202 0.901 0.104
Cl33 0.519 0.216 0.601
Cl34 0.798 0.599 0.604
Cl35 0.784 0.865 0.012
Cl36 0.303 0.126 0.716
Cl37 0.716 0.365 0.988
Cl38 0.981 0.716 0.399
Cl39 0.481 0.784 0.399
Cl40 0.784 0.365 0.488
O1 0.500 0.500 0.000
O2 0.500 0.000 0.500
O3 0.000 0.000 0.000
O4 0.000 0.500 0.500



[4]
An optimized crystal structure of CsReCl4O2, computed with PBE.

Results
Total moment = 0.0 μB/f.u.
Formation energy = -1425 meV/atom
Final energy = -162.62 eV for the cell shown
Space-group type = No. 14

abc: 10.824 6.861 12.278
angles: 89.11 90.00 90.00
Fractional positions:
Cl1 0.893 0.874 0.915
Cl2 0.384 0.313 0.062
Cl3 0.681 0.530 0.184
Cl4 0.319 0.470 0.816
Cl5 0.286 0.009 0.882
Cl6 0.107 0.126 0.085
Cl7 0.786 0.991 0.618
Cl8 0.393 0.126 0.585
Cl9 0.607 0.874 0.415
Cl10 0.181 0.470 0.316
Cl11 0.214 0.009 0.382
Cl12 0.884 0.687 0.438
Cl13 0.116 0.313 0.562
Cl14 0.714 0.991 0.118
Cl15 0.819 0.530 0.684
Cl16 0.616 0.687 0.938
O1 0.428 0.285 0.357
O2 0.072 0.285 0.857
O3 0.155 0.538 0.008
O4 0.928 0.715 0.143
O5 0.345 0.538 0.508
O6 0.845 0.462 0.992
O7 0.655 0.462 0.492
O8 0.572 0.715 0.643
Re1 0.192 0.320 0.947
Re2 0.692 0.680 0.553
Re3 0.808 0.680 0.053
Re4 0.308 0.320 0.447
Cs1 0.387 0.814 0.149
Cs2 0.113 0.814 0.649
Cs3 0.613 0.186 0.851
Cs4 0.887 0.186 0.351



[5]
An optimized crystal structure of Cs3Re6Se8Cl6O2, computed with PBE.

Results
Total moment = 4.9 μB/f.u.
Formation energy = -684 meV/atom
Final energy = -284.05 eV for the cell shown
Space-group type = No. 14

abc: 13.379 10.050 12.036
angles: 64.17 90.00 90.00
Fractional positions:
Se1 0.594 0.650 0.738
Se2 0.141 0.456 0.313
Se3 0.711 0.366 0.000
Se4 0.289 0.634 0.000
Se5 0.094 0.350 0.762
Se6 0.789 0.366 0.500
Se7 0.359 0.456 0.813
Se8 0.531 0.838 0.919
Se9 0.969 0.838 0.419
Se10 0.469 0.162 0.081
Se11 0.906 0.650 0.238
Se12 0.031 0.162 0.581
Se13 0.859 0.544 0.687
Se14 0.211 0.634 0.500
Se15 0.406 0.350 0.262
Se16 0.641 0.544 0.187
Re1 0.035 0.597 0.594
Re2 0.441 0.651 0.863
Re3 0.535 0.403 0.906
Re4 0.624 0.604 0.960
Re5 0.376 0.396 0.040
Re6 0.965 0.403 0.406
Re7 0.059 0.651 0.363
Re8 0.465 0.597 0.094
Re9 0.876 0.604 0.460
Re10 0.941 0.349 0.637
Re11 0.559 0.349 0.137
Re12 0.124 0.396 0.540
Cl1 0.082 0.738 0.708
Cl2 0.918 0.262 0.292
Cl3 0.632 0.144 0.312
Cl4 0.868 0.144 0.812
Cl5 0.582 0.262 0.792
Cl6 0.418 0.738 0.208
Cl7 0.132 0.856 0.188
Cl8 0.717 0.739 0.412
Cl9 0.368 0.856 0.688
Cl10 0.283 0.261 0.588
Cl11 0.217 0.261 0.088
Cl12 0.783 0.739 0.912
O1 0.436 0.875 0.434
O2 0.564 0.125 0.566
O3 0.064 0.875 0.934
O4 0.936 0.125 0.066
Cs1 0.727 0.965 0.089
Cs2 0.000 0.500 0.000
Cs3 0.500 0.500 0.500
Cs4 0.227 0.035 0.411
Cs5 0.773 0.965 0.589
Cs6 0.273 0.035 0.911



[6]
An optimized crystal structure of Cs2RhCl5O, computed with PBE.

Results
Total moment = 2.0 μB/f.u.
Formation energy = -1200 meV/atom
Final energy = -66.91 eV for the cell shown
Space-group type = No. 63

abc: 7.411 8.455 9.525
angles: 90.00 112.89 90.00
Fractional positions:
Cl1 0.661 0.550 0.775
Cl2 0.886 0.450 0.225
Cl3 0.114 0.550 0.775
Cl4 0.754 0.750 0.508
Cl5 0.886 0.050 0.225
Cl6 0.661 0.950 0.775
Cl7 0.339 0.050 0.225
Cl8 0.114 0.950 0.775
Cl9 0.246 0.250 0.492
Cl10 0.339 0.450 0.225
Rh1 0.108 0.250 0.216
Rh2 0.892 0.750 0.784
Cs1 0.470 0.250 0.940
Cs2 0.243 0.750 0.486
Cs3 0.757 0.250 0.514
Cs4 0.530 0.750 0.060
O1 0.994 0.750 0.988
O2 0.006 0.250 0.012



Q: What is the final energy in the fourth record?
A: -162.62 eV for the cell shown